(1)
## Li9Co7O16 (PBE with a Hubbard U)

Data for a relaxed structure of Li9Co7O16.

The structure in POSCAR format:
```
Li9Co7O16
1.0
19.371 -1.497 0.000
19.371 1.497 0.000
-0.412 0.000 4.955
Li Co O
9 7 16
direct
0.000 0.000 0.000
0.061 0.061 0.688
0.187 0.187 0.061
0.313 0.313 0.439
0.439 0.439 0.820
0.561 0.561 0.180
0.687 0.687 0.561
0.813 0.813 0.939
0.939 0.939 0.312
0.125 0.125 0.374
0.250 0.250 0.750
0.376 0.376 0.126
0.500 0.500 0.500
0.624 0.624 0.874
0.750 0.750 0.250
0.875 0.875 0.626
0.027 0.027 0.363
0.095 0.095 0.040
0.154 0.154 0.709
0.221 0.221 0.415
0.279 0.279 0.085
0.346 0.346 0.792
0.404 0.404 0.462
0.472 0.472 0.196
0.528 0.528 0.804
0.596 0.596 0.538
0.654 0.654 0.208
0.721 0.721 0.915
0.779 0.779 0.585
0.846 0.846 0.291
0.905 0.905 0.960
0.973 0.973 0.637
```

Properties
**Energy of formation from the pure elements**: -1.616 eV per atom
**ΔE to the lowest computed polymorph**: 429 kJ/mol of formula units
**E (MP2020)**: -6.1822 eV/atom
**Electronic total energy**: -175.373 eV for the cell shown


(2)
## KHfMnSbO6 (PBE with a Hubbard U)

Data for a relaxed structure of KHfMnSbO6.

The structure in POSCAR format:
```
KHfMnSbO6
1.0
0.000 4.041 4.041
4.041 0.000 4.041
4.041 4.041 0.000
K Hf Mn Sb O
1 1 1 1 6
direct
0.000 0.000 0.000
0.250 0.250 0.250
0.500 0.500 0.500
0.750 0.750 0.750
0.504 0.504 0.996
0.504 0.996 0.504
0.504 0.996 0.996
0.996 0.504 0.504
0.996 0.504 0.996
0.996 0.996 0.504
```

Properties
**Energy of formation from the pure elements**: -2.431 eV per atom
**E (MP2020)**: -7.8352 eV/atom
**Electronic total energy**: -72.562 eV for the cell shown


(3)
## CrP5O15 (PBE with a Hubbard U)

Data for a relaxed structure of CrP5O15.

The structure in POSCAR format:
```
CrP5O15
1.0
5.033 0.000 0.000
0.000 10.453 0.000
-4.648 0.000 12.196
Cr P O
2 10 30
direct
0.000 0.002 0.000
0.000 0.998 0.500
0.419 0.442 0.351
0.419 0.558 0.851
0.430 0.165 0.418
0.430 0.835 0.918
0.570 0.167 0.083
0.570 0.833 0.583
0.592 0.443 0.155
0.592 0.557 0.655
0.999 0.012 0.250
0.999 0.988 0.750
0.041 0.057 0.656
0.041 0.943 0.156
0.122 0.479 0.811
0.122 0.521 0.311
0.257 0.154 0.059
0.257 0.846 0.559
0.263 0.109 0.298
0.263 0.891 0.798
0.317 0.113 0.501
0.317 0.887 0.001
0.340 0.312 0.398
0.340 0.688 0.898
0.377 0.473 0.581
0.377 0.527 0.081
0.506 0.386 0.253
0.506 0.614 0.753
0.636 0.475 0.926
0.636 0.525 0.426
0.667 0.313 0.107
0.667 0.687 0.607
0.684 0.117 0.999
0.684 0.883 0.499
0.731 0.107 0.203
0.731 0.893 0.703
0.743 0.150 0.441
0.743 0.850 0.941
0.891 0.480 0.695
0.891 0.520 0.195
0.960 0.059 0.844
0.960 0.941 0.344
```

Properties
**Energy of formation from the pure elements**: -2.210 eV per atom
**ΔE to the lowest computed polymorph**: 282 kJ/mol of formula units
**E (MP2020)**: -7.4925 eV/atom
**Electronic total energy**: -296.738 eV for the cell shown


(4)
## TbFeO3 (PBE with a Hubbard U)

Data for a relaxed structure of TbFeO3.

The structure in POSCAR format:
```
TbFeO3
1.0
5.666 0.000 0.000
0.000 7.732 0.000
0.000 0.000 5.355
Tb Fe O
4 4 12
direct
0.068 0.250 0.019
0.432 0.750 0.519
0.568 0.250 0.481
0.932 0.750 0.981
0.000 0.000 0.500
0.000 0.500 0.500
0.500 0.000 0.000
0.500 0.500 0.000
0.041 0.750 0.386
0.195 0.558 0.808
0.195 0.942 0.808
0.305 0.058 0.308
0.305 0.442 0.308
0.459 0.250 0.886
0.541 0.750 0.114
0.695 0.558 0.692
0.695 0.942 0.692
0.805 0.058 0.192
0.805 0.442 0.192
0.959 0.250 0.614
```

Properties
**Energy of formation from the pure elements**: -2.845 eV per atom
**E (MP2020)**: -8.4349 eV/atom
**Electronic total energy**: -151.431 eV for the cell shown


(5)
## NaMnO2 (PBE with a Hubbard U)

Data for a relaxed structure of NaMnO2.

The structure in POSCAR format:
```
NaMnO2
1.0
-1.448 2.839 0.224
-4.334 -2.835 -0.227
-1.441 -2.378 5.446
Na Mn O
2 2 4
direct
0.250 0.750 0.500
0.750 0.250 0.500
0.500 0.500 0.000
0.000 0.000 0.000
0.131 0.221 0.205
0.631 0.721 0.205
0.869 0.779 0.795
0.369 0.279 0.795
```

Properties
**Energy of formation from the pure elements**: -1.973 eV per atom
**ΔE to the lowest computed polymorph**: 22 kJ/mol of formula units
**E (MP2020)**: -7.0676 eV/atom
**Electronic total energy**: -50.457 eV for the cell shown


(6)
## Li9Co7O16 (PBE with a Hubbard U)

Data for a relaxed structure of Li9Co7O16.

The structure in POSCAR format:
```
Li9Co7O16
1.0
5.689 0.000 0.000
1.424 6.251 0.000
1.443 0.197 7.404
Li Co O
9 7 16
direct
0.000 0.000 0.000
0.062 0.124 0.628
0.184 0.372 0.876
0.308 0.630 0.125
0.438 0.876 0.375
0.562 0.124 0.625
0.692 0.370 0.875
0.816 0.628 0.124
0.938 0.876 0.372
0.125 0.249 0.247
0.250 0.500 0.500
0.370 0.753 0.754
0.500 0.000 0.000
0.630 0.247 0.246
0.750 0.500 0.500
0.875 0.751 0.753
0.034 0.544 0.326
0.098 0.691 0.917
0.156 0.796 0.578
0.233 0.956 0.180
0.301 0.044 0.821
0.343 0.208 0.423
0.410 0.294 0.073
0.467 0.459 0.674
0.533 0.541 0.326
0.590 0.706 0.927
0.657 0.792 0.577
0.699 0.956 0.179
0.767 0.044 0.820
0.844 0.204 0.422
0.902 0.309 0.083
0.966 0.456 0.674
```

Properties
**Energy of formation from the pure elements**: -1.754 eV per atom
**ΔE to the lowest computed polymorph**: 4 kJ/mol of formula units
**E (MP2020)**: -6.3200 eV/atom
**Electronic total energy**: -179.781 eV for the cell shown


(7)
## MgMn6O8F4 (PBE with a Hubbard U)

Data for a relaxed structure of MgMn6O8F4.

The structure in POSCAR format:
```
MgMn6O8F4
1.0
5.203 0.000 0.000
0.557 5.708 0.000
0.538 1.056 7.584
Mg Mn O F
1 6 8 4
direct
0.000 0.000 0.000
0.012 0.650 0.790
0.020 0.387 0.165
0.501 0.829 0.127
0.506 0.186 0.804
0.555 0.537 0.491
0.989 0.026 0.478
0.161 0.660 0.030
0.323 0.138 0.037
0.343 0.493 0.710
0.698 0.231 0.582
0.699 0.561 0.243
0.703 0.877 0.904
0.855 0.730 0.567
0.878 0.082 0.243
0.162 0.999 0.718
0.196 0.306 0.401
0.342 0.825 0.375
0.848 0.336 0.914
```

Properties
**Energy of formation from the pure elements**: -2.264 eV per atom
**ΔE to the lowest computed polymorph**: 90 kJ/mol of formula units
**E (MP2020)**: -7.7280 eV/atom
**Electronic total energy**: -129.480 eV for the cell shown


(8)
## Li2Mn3P4O14 (PBE with a Hubbard U)

Data for a relaxed structure of Li2Mn3P4O14.

The structure in POSCAR format:
```
Li2Mn3P4O14
1.0
6.457 0.000 0.000
0.000 7.388 0.000
-0.938 0.000 13.875
Li Mn P O
4 6 8 28
direct
0.014 0.000 0.433
0.432 0.367 0.951
0.568 0.867 0.049
0.986 0.500 0.567
0.170 0.694 0.901
0.270 0.556 0.275
0.453 0.532 0.612
0.547 0.032 0.388
0.730 0.056 0.725
0.830 0.194 0.099
0.103 0.870 0.109
0.125 0.869 0.675
0.350 0.161 0.583
0.362 0.189 0.173
0.638 0.689 0.827
0.650 0.661 0.417
0.875 0.369 0.325
0.897 0.370 0.891
0.065 0.462 0.374
0.112 0.853 0.784
0.125 0.384 0.927
0.149 0.782 0.206
0.150 0.092 0.124
0.181 0.693 0.624
0.211 0.326 0.595
0.252 0.808 0.034
0.310 0.066 0.485
0.320 0.010 0.666
0.340 0.391 0.154
0.368 0.146 0.280
0.423 0.717 0.391
0.468 0.598 0.882
0.532 0.098 0.118
0.577 0.217 0.609
0.632 0.646 0.720
0.660 0.891 0.846
0.680 0.510 0.334
0.690 0.566 0.515
0.748 0.308 0.966
0.789 0.826 0.405
0.819 0.193 0.376
0.850 0.592 0.876
0.851 0.282 0.794
0.875 0.884 0.073
0.888 0.353 0.216
0.935 0.962 0.626
```

Properties
**Energy of formation from the pure elements**: -2.564 eV per atom
**ΔE to the lowest computed polymorph**: 125 kJ/mol of formula units
**E (MP2020)**: -7.8787 eV/atom
**Electronic total energy**: -333.174 eV for the cell shown


(9)
## LiMnF4 (PBE with a Hubbard U)

Data for a relaxed structure of LiMnF4.

The structure in POSCAR format:
```
LiMnF4
1.0
10.880 0.000 0.000
0.000 5.833 0.000
0.000 0.000 5.022
Li Mn F
4 4 16
direct
0.080 0.250 0.077
0.420 0.750 0.577
0.580 0.250 0.423
0.920 0.750 0.923
0.240 0.750 0.035
0.260 0.250 0.535
0.740 0.750 0.465
0.760 0.250 0.965
0.089 0.750 0.875
0.112 0.250 0.707
0.186 0.024 0.253
0.186 0.476 0.253
0.314 0.524 0.753
0.314 0.976 0.753
0.388 0.750 0.207
0.411 0.250 0.375
0.589 0.750 0.625
0.612 0.250 0.793
0.686 0.024 0.247
0.686 0.476 0.247
0.814 0.524 0.747
0.814 0.976 0.747
0.888 0.750 0.293
0.911 0.250 0.125
```

Properties
**Energy of formation from the pure elements**: -2.894 eV per atom
**E (MP2020)**: -6.0151 eV/atom
**Electronic total energy**: -130.300 eV for the cell shown


(10)
## K2TlCrF6 (PBE with a Hubbard U)

Data for a relaxed structure of K2TlCrF6.

The structure in POSCAR format:
```
K2TlCrF6
1.0
0.000 4.551 4.551
4.551 0.000 4.551
4.551 4.551 0.000
K Tl Cr F
2 1 1 6
direct
0.250 0.250 0.250
0.750 0.750 0.750
0.000 0.000 0.000
0.500 0.500 0.500
0.287 0.287 0.713
0.287 0.713 0.287
0.287 0.713 0.713
0.713 0.287 0.287
0.713 0.287 0.713
0.713 0.713 0.287
```

Properties
**Energy of formation from the pure elements**: -2.847 eV per atom
**E (MP2020)**: -5.4198 eV/atom
**Electronic total energy**: -49.427 eV for the cell shown


(11)
## Li2FeSiCO7 (PBE with a Hubbard U)

Data for a relaxed structure of Li2FeSiCO7.

The structure in POSCAR format:
```
Li2FeSiCO7
1.0
-1.284 -3.682 3.367
-5.187 11.269 11.793
-5.819 -0.166 -2.401
Li Fe Si C O
8 4 4 4 28
direct
0.212 0.113 0.509
0.212 0.613 0.509
0.212 0.113 0.991
0.212 0.613 0.991
0.788 0.387 0.491
0.788 0.887 0.490
0.788 0.387 0.009
0.788 0.887 0.010
0.795 0.674 0.750
0.205 0.326 0.250
0.795 0.174 0.750
0.205 0.826 0.250
0.714 0.216 0.250
0.714 0.716 0.250
0.286 0.284 0.750
0.286 0.784 0.750
0.731 0.026 0.750
0.731 0.526 0.750
0.269 0.474 0.250
0.269 0.974 0.250
0.291 0.047 0.250
0.292 0.547 0.250
0.708 0.453 0.750
0.708 0.953 0.750
0.960 0.056 0.750
0.960 0.557 0.750
0.040 0.444 0.250
0.041 0.943 0.250
0.534 0.077 0.750
0.534 0.578 0.750
0.466 0.422 0.250
0.466 0.922 0.250
0.168 0.197 0.750
0.168 0.697 0.750
0.832 0.303 0.250
0.832 0.803 0.250
0.394 0.228 0.250
0.393 0.728 0.250
0.606 0.272 0.750
0.607 0.772 0.750
0.818 0.161 0.050
0.818 0.662 0.050
0.818 0.161 0.450
0.818 0.662 0.450
0.182 0.339 0.550
0.182 0.838 0.550
0.182 0.339 0.950
0.182 0.838 0.950
```

Properties
**Energy of formation from the pure elements**: -2.198 eV per atom
**E (MP2020)**: -7.3291 eV/atom
**Electronic total energy**: -323.537 eV for the cell shown


(12)
## Na3Li3Fe2P2C2O14 (PBE with a Hubbard U)

Data for a relaxed structure of Na3Li3Fe2P2C2O14.

The structure in POSCAR format:
```
Na3Li3Fe2P2C2O14
1.0
6.631 0.000 0.000
-0.093 8.752 0.000
-0.084 -0.285 10.197
Na Li Fe P C O
6 6 4 4 4 28
direct
0.000 0.000 0.000
0.001 0.487 0.752
0.001 0.999 0.499
0.494 0.489 0.249
0.741 0.660 0.003
0.751 0.660 0.503
0.256 0.841 0.250
0.279 0.836 0.751
0.477 0.020 0.012
0.479 0.019 0.508
0.526 0.464 0.733
0.971 0.463 0.235
0.246 0.390 0.013
0.251 0.390 0.514
0.742 0.093 0.234
0.745 0.093 0.732
0.245 0.153 0.272
0.258 0.155 0.771
0.737 0.328 0.977
0.748 0.327 0.477
0.258 0.701 0.489
0.260 0.702 0.989
0.738 0.794 0.759
0.757 0.795 0.259
0.057 0.050 0.241
0.059 0.069 0.735
0.223 0.314 0.212
0.245 0.591 0.900
0.247 0.669 0.612
0.250 0.590 0.400
0.258 0.669 0.113
0.272 0.316 0.711
0.275 0.172 0.423
0.277 0.172 0.924
0.277 0.840 0.450
0.277 0.841 0.951
0.424 0.060 0.212
0.428 0.048 0.717
0.557 0.427 0.025
0.567 0.429 0.518
0.720 0.647 0.765
0.729 0.166 0.532
0.731 0.166 0.034
0.732 0.314 0.824
0.738 0.880 0.365
0.742 0.880 0.865
0.749 0.860 0.146
0.751 0.860 0.646
0.759 0.312 0.323
0.781 0.648 0.266
0.930 0.418 0.024
0.939 0.415 0.529
```

Properties
**Energy of formation from the pure elements**: -2.302 eV per atom
**ΔE to the lowest computed polymorph**: 12 kJ/mol of formula units
**E (MP2020)**: -7.1173 eV/atom
**Electronic total energy**: -341.838 eV for the cell shown